Run w
Compound: Na
Source: the Materials Project database
Functional: r2SCAN
Structure: optimized geometry

abc: 3.724 3.738 12.493
angles: 90.00 90.00 119.87
Element x y z (fractional)
Na: 0.328 0.655 0.250
Na: 0.672 0.345 0.750
Na: 0.000 0.000 0.500
Na: 0.000 0.000 0.000

Calculated values
total moment: 0.0 μB per formula unit
symmetry: Cmcm, No. 63
density: 1.013 Mg/m³

=====

Run x
Compound: Na
Source: the Materials Project database
Functional: r2SCAN
Structure: optimized geometry

abc: 7.332 7.332 7.332
angles: 109.47 109.47 109.47
Element x y z (fractional)
Na: 0.500 0.000 0.451
Na: 0.451 0.500 0.000
Na: 0.000 0.951 0.500
Na: 0.951 0.500 0.000
Na: 0.000 0.451 0.500
Na: 0.500 0.000 0.951
Na: 0.549 0.549 0.549
Na: 0.049 0.049 0.049

Calculated values
total moment: 0.1 μB per formula unit
symmetry: I-43d, No. 220
density: 1.007 Mg/m³

=====

Short version: run w, run x, most stable first.

=====

Run w
Compound: NaO2
Source: the Materials Project database
Functional: r2SCAN
Structure: optimized geometry

abc: 5.088 6.334 9.145
angles: 90.00 90.00 90.01
Element x y z (fractional)
Na: 0.332 0.726 0.621
Na: 0.832 0.774 0.379
Na: 0.668 0.226 0.879
Na: 0.168 0.274 0.121
Na: 0.668 0.274 0.379
Na: 0.168 0.226 0.621
Na: 0.332 0.774 0.121
Na: 0.832 0.726 0.879
O: 0.276 0.028 0.931
O: 0.776 0.472 0.069
O: 0.724 0.528 0.569
O: 0.224 0.972 0.431
O: 0.724 0.972 0.069
O: 0.224 0.528 0.931
O: 0.276 0.472 0.431
O: 0.776 0.028 0.569
O: 0.576 0.036 0.664
O: 0.076 0.464 0.336
O: 0.424 0.536 0.836
O: 0.924 0.964 0.164
O: 0.424 0.964 0.336
O: 0.924 0.536 0.664
O: 0.576 0.464 0.164
O: 0.076 0.036 0.836

Calculated values
total moment: 1.0 μB per formula unit
symmetry: Pbca, No. 61
density: 2.479 Mg/m³

=====

Run x
Compound: NaO2
Source: the Materials Project database
Functional: r2SCAN
Structure: optimized geometry

abc: 3.369 4.183 5.570
angles: 90.00 90.00 90.00
Element x y z (fractional)
Na: 0.500 0.500 0.500
Na: 0.000 0.000 0.000
O: 0.500 0.388 0.913
O: 0.500 0.612 0.087
O: 0.000 0.112 0.413
O: 0.000 0.888 0.587

Calculated values
total moment: 1.0 μB per formula unit
symmetry: Pnnm, No. 58
density: 2.326 Mg/m³

=====

Short version: run x, run w, most stable first.

=====

Run w
Compound: NaTi2O4
Source: the Materials Project database
Functional: r2SCAN
Structure: optimized geometry

abc: 6.112 6.112 6.112
angles: 60.00 60.00 60.00
Element x y z (fractional)
Na: 0.750 0.750 0.750
Na: 0.500 0.500 0.500
Ti: 0.125 0.125 0.625
Ti: 0.125 0.625 0.125
Ti: 0.625 0.125 0.125
Ti: 0.125 0.125 0.125
O: 0.320 0.893 0.893
O: 0.893 0.893 0.893
O: 0.893 0.320 0.893
O: 0.893 0.893 0.320
O: 0.357 0.930 0.357
O: 0.357 0.357 0.930
O: 0.930 0.357 0.357
O: 0.357 0.357 0.357

Calculated values
total moment: 0.7 μB per formula unit
symmetry: Fd-3m, No. 227
density: 3.758 Mg/m³

=====

Run x
Compound: NaTi2O4
Source: the Materials Project database
Functional: r2SCAN
Structure: optimized geometry

abc: 2.946 9.244 10.739
angles: 90.00 90.00 90.00
Element x y z (fractional)
Na: 0.250 0.743 0.154
Na: 0.750 0.257 0.846
Na: 0.250 0.243 0.346
Na: 0.750 0.757 0.654
Ti: 0.750 0.935 0.889
Ti: 0.250 0.065 0.111
Ti: 0.750 0.435 0.611
Ti: 0.250 0.565 0.389
Ti: 0.250 0.582 0.897
Ti: 0.750 0.418 0.103
Ti: 0.250 0.082 0.603
Ti: 0.750 0.918 0.397
O: 0.750 0.920 0.070
O: 0.250 0.080 0.930
O: 0.750 0.420 0.430
O: 0.250 0.580 0.570
O: 0.750 0.521 0.781
O: 0.250 0.479 0.219
O: 0.750 0.021 0.719
O: 0.250 0.979 0.281
O: 0.750 0.613 0.023
O: 0.250 0.387 0.977
O: 0.750 0.113 0.477
O: 0.250 0.887 0.523
O: 0.250 0.791 0.848
O: 0.750 0.209 0.152
O: 0.250 0.291 0.652
O: 0.750 0.709 0.348

Calculated values
total moment: 1.0 μB per formula unit
symmetry: Pnma, No. 62
density: 4.151 Mg/m³

=====

Short version: run x, run w, most stable first.

=====

Run w
Compound: NaTmO2
Source: the Materials Project database
Functional: r2SCAN
Structure: optimized geometry

abc: 5.927 5.927 5.927
angles: 135.09 135.09 65.39
Element x y z (fractional)
Na: 0.250 0.750 0.500
Na: 0.500 0.500 0.000
Tm: 0.750 0.250 0.500
Tm: 0.000 0.000 0.000
O: 0.973 0.473 0.500
O: 0.777 0.777 0.000
O: 0.223 0.223 0.000
O: 0.527 0.027 0.500

Calculated values
total moment: 0.0 μB per formula unit
symmetry: I4_1/amd, No. 141
density: 7.275 Mg/m³

=====

Run x
Compound: NaTmO2
Source: the Materials Project database
Functional: r2SCAN
Structure: optimized geometry

abc: 5.801 7.248 5.925
angles: 75.15 112.39 75.85
Element x y z (fractional)
Na: 0.806 0.389 0.056
Na: 0.430 0.140 0.180
Na: 0.570 0.860 0.820
Na: 0.194 0.611 0.944
Tm: 0.943 0.113 0.693
Tm: 0.683 0.634 0.433
Tm: 0.317 0.366 0.567
Tm: 0.057 0.887 0.307
O: 0.939 0.627 0.231
O: 0.832 0.876 0.542
O: 0.292 0.876 0.082
O: 0.566 0.373 0.358
O: 0.434 0.627 0.642
O: 0.708 0.124 0.918
O: 0.168 0.124 0.458
O: 0.061 0.373 0.769

Calculated values
total moment: 0.0 μB per formula unit
symmetry: C2/c, No. 15
density: 7.230 Mg/m³

=====

Short version: run x, run w, most stable first.

=====

Run w
Compound: Na2Zn2O3
Source: the Materials Project database
Functional: r2SCAN
Structure: optimized geometry

abc: 5.785 5.926 5.877
angles: 90.00 90.00 118.24
Element x y z (fractional)
Na: 0.864 0.098 0.344
Na: 0.864 0.598 0.156
Na: 0.136 0.902 0.656
Na: 0.136 0.402 0.844
Zn: 0.341 0.079 0.123
Zn: 0.341 0.579 0.377
Zn: 0.659 0.921 0.877
Zn: 0.659 0.421 0.623
O: 0.000 0.500 0.500
O: 0.644 0.757 0.587
O: 0.356 0.743 0.087
O: 0.356 0.243 0.413
O: 0.000 0.000 0.000
O: 0.644 0.257 0.913

Calculated values
total moment: 0.0 μB per formula unit
symmetry: P2_1/c, No. 14
density: 4.205 Mg/m³

=====

Run x
Compound: Na2Zn2O3
Source: the Materials Project database
Functional: r2SCAN
Structure: optimized geometry

abc: 6.157 6.157 9.343
angles: 90.00 90.00 90.00
Element x y z (fractional)
Na: 0.747 0.534 0.647
Na: 0.966 0.247 0.397
Na: 0.466 0.253 0.853
Na: 0.253 0.466 0.147
Na: 0.034 0.753 0.897
Na: 0.753 0.034 0.103
Na: 0.534 0.747 0.353
Na: 0.247 0.966 0.603
Zn: 0.255 0.457 0.614
Zn: 0.043 0.755 0.364
Zn: 0.457 0.255 0.386
Zn: 0.755 0.043 0.636
Zn: 0.245 0.957 0.136
Zn: 0.543 0.745 0.886
Zn: 0.957 0.245 0.864
Zn: 0.745 0.543 0.114
O: 0.321 0.679 0.750
O: 0.243 0.513 0.405
O: 0.487 0.757 0.095
O: 0.757 0.487 0.905
O: 0.679 0.321 0.250
O: 0.987 0.743 0.155
O: 0.821 0.821 0.500
O: 0.513 0.243 0.595
O: 0.013 0.257 0.655
O: 0.257 0.013 0.345
O: 0.743 0.987 0.845
O: 0.179 0.179 0.000

Calculated values
total moment: 0.0 μB per formula unit
symmetry: P4_32_12, No. 96
density: 4.215 Mg/m³

=====

Short version: run x, run w, most stable first.

=====

Run w
Compound: NaYb3
Source: the Materials Project database
Functional: r2SCAN
Structure: optimized geometry

abc: 5.517 5.517 5.517
angles: 60.00 60.00 60.00
Element x y z (fractional)
Na: 0.000 0.000 0.000
Yb: 0.250 0.250 0.250
Yb: 0.750 0.750 0.750
Yb: 0.500 0.500 0.500

Calculated values
total moment: 0.0 μB per formula unit
symmetry: Fm-3m, No. 225
density: 7.580 Mg/m³

=====

Run x
Compound: NaYb3
Source: the Materials Project database
Functional: r2SCAN
Structure: optimized geometry

abc: 7.041 7.041 5.755
angles: 90.00 90.00 120.00
Element x y z (fractional)
Na: 0.333 0.667 0.750
Na: 0.667 0.333 0.250
Yb: 0.673 0.837 0.250
Yb: 0.163 0.837 0.250
Yb: 0.837 0.673 0.750
Yb: 0.327 0.163 0.750
Yb: 0.837 0.163 0.750
Yb: 0.163 0.327 0.250

Calculated values
total moment: 1.8 μB per formula unit
symmetry: P6_3/mmc, No. 194
density: 7.287 Mg/m³

=====

Short version: run x, run w, most stable first.

=====

Run w
Compound: Nb
Source: the Materials Project database
Functional: r2SCAN
Structure: optimized geometry

abc: 2.985 4.621 9.704
angles: 74.54 84.28 89.18
Element x y z (fractional)
Nb: 0.642 0.215 0.572
Nb: 0.358 0.785 0.428
Nb: 0.928 0.645 0.715
Nb: 0.072 0.355 0.285
Nb: 0.214 0.073 0.857
Nb: 0.786 0.927 0.143
Nb: 0.500 0.500 0.000

Calculated values
total moment: 0.0 μB per formula unit
symmetry: P-1, No. 2
density: 8.415 Mg/m³

=====

Run x
Compound: Nb
Source: the Materials Project database
Functional: r2SCAN
Structure: optimized geometry

abc: 2.873 2.873 2.873
angles: 109.47 109.47 109.47
Element x y z (fractional)
Nb: 0.000 0.000 0.000

Calculated values
total moment: 0.0 μB per formula unit
symmetry: Im-3m, No. 229
density: 8.450 Mg/m³

=====

Short version: run x, run w, most stable first.